Record 1
14
Lattice="2.705 6.083 0.000 -2.705 6.083 0.000 0.000 0.001 5.450" Properties=species:S:1:pos:R:3 comment="Ca2Pr2MnNiO8 | the Materials Project database | GGA+U | relaxed" magnetic_moment_mub_per_atom=0.3572 crystal_system=monoclinic ef_ev_per_atom=-2.869 spacegroup="No. 8" volume_a3_per_atom=12.812 pbc="T T T"
Ca 0.000 1.753 2.695
Ca 0.000 4.341 5.381
Pr 0.000 7.760 0.053
Pr 0.000 10.487 2.745
Mn 0.000 0.019 0.004
Ni 0.000 6.064 2.731
O 1.374 6.137 4.132
O 1.374 6.037 1.324
O -1.374 6.037 1.324
O -1.374 6.137 4.132
O 0.000 3.980 2.830
O 0.000 10.136 5.384
O 0.000 8.199 2.613
O 0.000 2.002 0.075

=====

Record 2
16
Lattice="-4.882 -0.819 3.479 -1.515 -5.634 1.605 0.648 -1.855 5.930" Properties=species:S:1:pos:R:3 comment="Li3Fe4SnO8 | the Materials Project database | GGA+U | relaxed" magnetic_moment_mub_per_atom=1.0625 crystal_system=monoclinic ef_ev_per_atom=-1.842 spacegroup="No. 12" volume_a3_per_atom=10.176 pbc="T T T"
Li -0.757 -2.817 0.803
Li 0.324 -0.927 2.965
Li -2.441 -0.410 1.739
Fe -2.875 -4.154 5.507
Fe 0.000 0.000 0.000
Fe -0.433 -3.744 3.768
Fe -2.117 -1.337 4.704
Sn -3.198 -3.226 2.542
O -1.468 -2.140 2.862
O -1.809 -5.830 6.636
O -3.499 -3.414 7.576
O -4.659 -5.319 5.296
O -1.090 -2.988 5.719
O -2.250 -4.894 3.438
O -3.940 -2.478 4.378
O -4.281 -6.167 8.152

=====

Record 3
27
Lattice="0.000 5.335 5.870 5.235 0.000 5.870 5.235 5.335 0.000" Properties=species:S:1:pos:R:3 comment="Ca4Al6WO16 | the Materials Project database | GGA+U | relaxed" magnetic_moment_mub_per_atom=0.0000 crystal_system=orthorhombic ef_ev_per_atom=-3.072 spacegroup="No. 42" volume_a3_per_atom=12.145 pbc="T T T"
Ca 6.739 5.335 9.469
Ca 8.466 7.373 5.870
Ca 6.739 5.335 2.272
Ca 8.466 3.298 5.870
Al 5.545 7.204 4.104
Al 5.545 3.467 7.637
Al 5.545 7.204 7.637
Al 3.241 2.668 2.935
Al 8.476 8.003 8.805
Al 5.545 3.467 4.104
W 4.028 5.335 5.870
O 3.153 6.658 4.585
O 7.306 7.000 7.878
O 7.306 9.006 9.733
O 5.357 5.335 4.388
O 3.153 4.013 7.156
O 5.357 5.335 7.353
O 4.878 3.590 2.202
O 10.113 8.925 9.539
O 3.153 6.658 7.156
O 2.071 1.665 3.863
O 3.153 4.013 4.585
O 4.878 1.746 3.669
O 5.285 7.383 5.870
O 10.113 7.081 8.072
O 2.071 3.670 2.008
O 5.285 3.288 5.870

=====

Record 4
40
Lattice="8.151 0.000 0.000 0.000 5.037 0.000 0.000 4.765 14.058" Properties=species:S:1:pos:R:3 comment="CoP2O7 | the Materials Project database | GGA+U | relaxed" magnetic_moment_mub_per_atom=0.3000 crystal_system=monoclinic ef_ev_per_atom=-2.035 spacegroup="No. 14" volume_a3_per_atom=14.429 pbc="T T T"
Co 2.855 3.373 8.609
Co 1.220 0.990 1.580
Co 6.931 8.812 12.478
Co 5.295 6.429 5.449
P 5.718 3.942 7.415
P 4.322 1.221 2.443
P 7.904 3.604 9.472
P 6.508 1.560 0.386
P 3.828 8.581 11.615
P 2.433 5.860 6.643
P 0.247 6.198 4.586
P 1.643 8.243 13.672
O 3.112 8.431 13.046
O 4.452 4.826 2.969
O 2.614 4.367 6.924
O 3.430 6.373 5.579
O 1.177 4.073 9.213
O 6.689 3.053 0.105
O 7.187 3.754 8.041
O 6.499 5.507 13.153
O 5.106 2.031 3.493
O 5.252 8.112 11.874
O 4.721 3.429 8.480
O 5.537 5.435 7.134
O 0.645 8.755 12.608
O 7.505 1.047 1.451
O 7.120 4.414 10.522
O 3.045 7.771 10.566
O 2.424 6.678 7.935
O 3.698 4.976 11.090
O 7.774 7.209 9.998
O 0.377 2.594 4.061
O 0.963 6.048 6.017
O 5.727 3.124 6.124
O 5.039 1.372 1.012
O 1.031 5.388 3.537
O 1.461 6.750 13.953
O 2.898 1.690 2.184
O 6.974 5.729 4.845
O 1.651 4.296 0.905